This record from Materials Project describes an optimized crystal structure of BaMnGe. The functional is GGA-PBE.

Geometry as POSCAR:
```
BaMnGe
1.0
4.734 0.000 0.000
0.000 4.734 0.000
0.000 0.000 8.143
Ba Mn Ge
2 2 2
Direct
0.250 0.250 0.170 Ba
0.750 0.750 0.830 Ba
0.250 0.750 0.500 Mn
0.750 0.250 0.500 Mn
0.250 0.250 0.677 Ge
0.750 0.750 0.323 Ge
```

Properties
The spin magnetization comes out at 9.12 Bohr magnetons per cell. The crystal system is tetragonal. For the formation energy, the calculation gives -168 meV/atom.